one) DFT (PBE) results for an optimized crystal structure of NaMg16Al12.

Structure (CIF):
```
data_NaMg16Al12
_chemical_formula_sum 'Na3 Mg48 Al36'
_cell_length_a 15.0482
_cell_length_b 15.0482
_cell_length_c 9.0968
_cell_angle_alpha 90.00
_cell_angle_beta 90.00
_cell_angle_gamma 120.00
_space_group_name_H-M_alt 'R 3 m'
_space_group_IT_number 160
_space_group_name_Hall 'R 3 -2"'
loop_
_atom_site_label
_atom_site_type_symbol
_atom_site_fract_x
_atom_site_fract_y
_atom_site_fract_z
Na1 Na 0.0000 0.0000 0.0000
Mg1 Mg 0.0000 0.0000 0.3595
Mg2 Mg 0.0094 0.3063 0.6672
Mg3 Mg 0.0674 0.5337 0.5803
Mg4 Mg 0.2140 0.1070 0.8618
Mg5 Mg 0.2194 0.4387 0.1435
Al1 Al 0.0616 0.1233 0.6652
Al2 Al 0.0893 0.5446 0.0923
Al3 Al 0.1502 0.4819 0.8465
```

## Properties
total moment	0.00	Bohr magnetons per cell

---

two) DFT (PBE) results for an optimized crystal structure of NaMg16Al12.

Structure (CIF):
```
data_NaMg16Al12
_chemical_formula_sum 'Na2 Mg32 Al24'
_cell_length_a 10.6008
_cell_length_b 14.8837
_cell_length_c 9.1723
_cell_angle_alpha 90.00
_cell_angle_beta 125.14
_cell_angle_gamma 90.00
_space_group_name_H-M_alt 'C 1 m 1'
_space_group_IT_number 8
_space_group_name_Hall 'C -2y'
loop_
_atom_site_label
_atom_site_type_symbol
_atom_site_fract_x
_atom_site_fract_y
_atom_site_fract_z
Na1 Na 0.0000 0.0000 0.0000
Mg1 Mg 0.0560 0.1444 0.2820
Mg2 Mg 0.0805 0.2005 0.9627
Mg3 Mg 0.0965 0.5000 0.6232
Mg4 Mg 0.0971 0.5000 0.2803
Mg5 Mg 0.1510 0.1573 0.6778
Mg6 Mg 0.2528 0.3424 0.8819
Mg7 Mg 0.2570 0.0000 0.9382
Mg8 Mg 0.2679 0.3277 0.2800
Mg9 Mg 0.2800 0.0000 0.5657
Mg10 Mg 0.3970 0.1990 0.5958
Al1 Al 0.0010 0.4067 0.9128
Al2 Al 0.0966 0.3166 0.4634
Al3 Al 0.2743 0.5000 0.0990
Al4 Al 0.3237 0.0915 0.2841
Al5 Al 0.3666 0.4062 0.6396
Al6 Al 0.4113 0.1834 0.0938
Al7 Al 0.4618 0.5000 0.4579
```

## Properties
total moment	0.00	Bohr magnetons per cell

---

The winner here is one), beating the second structure by 8 meV/atom.

---

one) DFT (PBE) results for an optimized crystal structure of MgAlSbO4.

Structure (CIF):
```
data_MgAlSbO4
_chemical_formula_sum 'Mg1 Al1 Sb1 O4'
_cell_length_a 5.0459
_cell_length_b 3.0060
_cell_length_c 5.5589
_cell_angle_alpha 90.00
_cell_angle_beta 94.42
_cell_angle_gamma 90.00
_space_group_name_H-M_alt 'P 1 2 1'
_space_group_IT_number 3
_space_group_name_Hall 'P 2y'
loop_
_atom_site_label
_atom_site_type_symbol
_atom_site_fract_x
_atom_site_fract_y
_atom_site_fract_z
Mg1 Mg 0.0000 0.0000 0.0000
Al1 Al 0.5000 0.5220 0.0000
Sb1 Sb 0.0000 0.1976 0.5000
O1 O 0.1850 0.5129 0.2120
O2 O 0.3284 0.0392 0.8225
```

## Properties
total moment	0.00	Bohr magnetons per cell

---

two) DFT (PBE) results for an optimized crystal structure of MgAlSbO4.

Structure (CIF):
```
data_MgAlSbO4
_chemical_formula_sum 'Mg2 Al2 Sb2 O8'
_cell_length_a 3.0245
_cell_length_b 6.9693
_cell_length_c 8.7924
_cell_angle_alpha 90.00
_cell_angle_beta 90.00
_cell_angle_gamma 90.00
_space_group_name_H-M_alt 'A m m 2'
_space_group_IT_number 38
_space_group_name_Hall 'A 2 -2'
loop_
_atom_site_label
_atom_site_type_symbol
_atom_site_fract_x
_atom_site_fract_y
_atom_site_fract_z
Mg1 Mg 0.0000 0.0000 0.0000
Al1 Al 0.5000 0.0000 0.7325
Sb1 Sb 0.0000 0.0000 0.3444
O1 O 0.0000 0.1662 0.8051
O2 O 0.5000 0.0000 0.1333
O3 O 0.5000 0.0000 0.5312
```

## Properties
total moment	0.00	Bohr magnetons per cell

---

The winner here is one), beating the second structure by 94 meV/atom.

---

one) DFT (PBE) results for an optimized crystal structure of Mg2Al4Si5O18.

Structure (CIF):
```
data_Mg2Al4Si5O18
_chemical_formula_sum 'Mg4 Al8 Si10 O36'
_cell_length_a 9.4500
_cell_length_b 9.8358
_cell_length_c 9.9031
_cell_angle_alpha 60.50
_cell_angle_beta 89.98
_cell_angle_gamma 89.94
_space_group_name_H-M_alt 'P 1'
_space_group_IT_number 1
_space_group_name_Hall 'P 1'
loop_
_atom_site_label
_atom_site_type_symbol
_atom_site_fract_x
_atom_site_fract_y
_atom_site_fract_z
Mg1 Mg 0.0000 0.0000 0.0000
Mg2 Mg 0.0001 0.3339 0.3412
Mg3 Mg 0.4951 0.9985 0.0031
Mg4 Mg 0.4959 0.3353 0.3366
Al1 Al 0.2463 0.0316 0.5625
Al2 Al 0.2476 0.5557 0.4024
Al3 Al 0.4959 0.1663 0.1686
Al4 Al 0.4985 0.6664 0.1697
Al5 Al 0.7483 0.4097 0.5612
Al6 Al 0.9968 0.6666 0.1687
Al7 Al 0.9982 0.1709 0.6631
Al8 Al 0.9989 0.1668 0.1682
Si1 Si 0.2477 0.2929 0.7750
Si2 Si 0.2484 0.4002 0.0412
Si3 Si 0.2478 0.7709 0.9363
Si4 Si 0.2483 0.9341 0.2869
Si5 Si 0.4971 0.1696 0.6638
Si6 Si 0.7473 0.0431 0.3990
Si7 Si 0.7473 0.2946 0.9352
Si8 Si 0.7466 0.5660 0.0329
Si9 Si 0.7469 0.7816 0.2873
Si10 Si 0.7475 0.9363 0.7666
O1 O 0.0988 0.5255 0.3150
O2 O 0.1033 0.1558 0.5273
O3 O 0.1049 0.3241 0.1459
O4 O 0.1055 0.8023 0.0150
O5 O 0.1070 0.0176 0.1750
O6 O 0.1095 0.1767 0.8095
O7 O 0.2484 0.8855 0.7544
O8 O 0.2485 0.4319 0.6023
O9 O 0.2486 0.5873 0.9751
O10 O 0.2488 0.7515 0.3488
O11 O 0.2545 0.3526 0.9031
O12 O 0.2545 0.9811 0.4198
O13 O 0.3875 0.0192 0.1712
O14 O 0.3900 0.3227 0.1503
O15 O 0.3902 0.8028 0.0151
O16 O 0.3971 0.1832 0.7978
O17 O 0.3982 0.5237 0.3174
O18 O 0.4015 0.1456 0.5415
O19 O 0.5948 0.3134 0.5424
O20 O 0.5994 0.0199 0.7899
O21 O 0.6047 0.1516 0.3225
O22 O 0.6065 0.1829 0.0168
O23 O 0.6074 0.5345 0.1426
O24 O 0.6076 0.8137 0.1735
O25 O 0.7406 0.7494 0.8892
O26 O 0.7418 0.6060 0.4257
O27 O 0.7462 0.9030 0.3561
O28 O 0.7469 0.3612 0.7539
O29 O 0.7466 0.4396 0.9726
O30 O 0.7469 0.9710 0.5873
O31 O 0.8855 0.0156 0.8017
O32 O 0.8881 0.1835 0.0169
O33 O 0.8879 0.5380 0.1380
O34 O 0.8881 0.8120 0.1767
O35 O 0.8888 0.1510 0.3207
O36 O 0.8885 0.3162 0.5275
```

## Properties
total moment	0.01	Bohr magnetons per cell

---

two) DFT (PBE) results for an optimized crystal structure of Mg2Al4Si5O18.

Structure (CIF):
```
data_Mg2Al4Si5O18
_chemical_formula_sum 'Mg8 Al16 Si20 O72'
_cell_length_a 9.8302
_cell_length_b 17.2672
_cell_length_c 9.4402
_cell_angle_alpha 90.00
_cell_angle_beta 90.00
_cell_angle_gamma 90.00
_space_group_name_H-M_alt 'C c c m'
_space_group_IT_number 66
_space_group_name_Hall '-C 2 2c'
loop_
_atom_site_label
_atom_site_type_symbol
_atom_site_fract_x
_atom_site_fract_y
_atom_site_fract_z
Mg1 Mg 0.0000 0.1625 0.2500
Al1 Al 0.1920 0.0504 0.0000
Al2 Al 0.2500 0.2500 0.2501
Si1 Si 0.0000 0.0000 0.2500
Si2 Si 0.0787 0.3078 0.0000
Si3 Si 0.2368 0.3647 0.5000
O1 O 0.0788 0.3358 0.5000
O2 O 0.0837 0.0625 0.1511
O3 O 0.1030 0.2529 0.1415
O4 O 0.1852 0.3780 0.0000
O5 O 0.1900 0.1734 0.3582
O6 O 0.2485 0.4566 0.5000
```

## Properties
total moment	0.01	Bohr magnetons per cell

---

The winner here is two), beating the second structure by 24 meV/atom.

---

one) DFT (PBE) results for an optimized crystal structure of MgTi2Al4O10.

Structure (CIF):
```
data_MgTi2Al4O10
_chemical_formula_sum 'Mg2 Ti4 Al8 O20'
_cell_length_a 9.8995
_cell_length_b 3.5142
_cell_length_c 11.0114
_cell_angle_alpha 90.00
_cell_angle_beta 96.00
_cell_angle_gamma 90.00
_space_group_name_H-M_alt 'C 1 2/m 1'
_space_group_IT_number 12
_space_group_name_Hall '-C 2y'
loop_
_atom_site_label
_atom_site_type_symbol
_atom_site_fract_x
_atom_site_fract_y
_atom_site_fract_z
Mg1 Mg 0.0000 0.0000 0.0000
Ti1 Ti 0.1415 0.5000 0.2638
Al1 Al 0.1390 0.5000 0.5352
Al2 Al 0.1831 0.5000 0.9030
O1 O 0.0014 0.5000 0.1202
O2 O 0.0220 0.5000 0.3918
O3 O 0.1900 0.0000 0.9466
O4 O 0.2049 0.0000 0.5673
O5 O 0.2203 0.0000 0.2273
```

## Properties
total moment	4.00	Bohr magnetons per cell

---

two) DFT (PBE) results for an optimized crystal structure of MgTi2Al4O10.

Structure (CIF):
```
data_MgTi2Al4O10
_chemical_formula_sum 'Mg2 Ti4 Al8 O20'
_cell_length_a 9.8540
_cell_length_b 3.6761
_cell_length_c 9.7666
_cell_angle_alpha 90.00
_cell_angle_beta 90.80
_cell_angle_gamma 90.00
_space_group_name_H-M_alt 'C 1 m 1'
_space_group_IT_number 8
_space_group_name_Hall 'C -2y'
loop_
_atom_site_label
_atom_site_type_symbol
_atom_site_fract_x
_atom_site_fract_y
_atom_site_fract_z
Mg1 Mg 0.0000 0.0000 0.0000
Ti1 Ti 0.1299 0.5000 0.7858
Ti2 Ti 0.3924 0.0000 0.2957
Al1 Al 0.1677 0.5000 0.1714
Al2 Al 0.1912 0.5000 0.4892
Al3 Al 0.3014 0.0000 0.9763
Al4 Al 0.3699 0.0000 0.6504
O1 O 0.0460 0.5000 0.6044
O2 O 0.0826 0.5000 0.3377
O3 O 0.1503 0.0000 0.8516
O4 O 0.1825 0.0000 0.1323
O5 O 0.2643 0.0000 0.4834
O6 O 0.2844 0.5000 0.9921
O7 O 0.3045 0.5000 0.6548
O8 O 0.3320 0.5000 0.2782
O9 O 0.4247 0.0000 0.8341
O10 O 0.4769 0.0000 0.0930
```

## Properties
total moment	4.00	Bohr magnetons per cell

---

The winner here is two), beating the second structure by 23 meV/atom.

---

one) DFT (PBE) results for an optimized crystal structure of MgTi2Al4O10.

Structure (CIF):
```
data_MgTi2Al4O10
_chemical_formula_sum 'Mg1 Ti2 Al4 O10'
_cell_length_a 3.5620
_cell_length_b 5.3480
_cell_length_c 10.5022
_cell_angle_alpha 100.99
_cell_angle_beta 90.09
_cell_angle_gamma 109.44
_space_group_name_H-M_alt 'P 1'
_space_group_IT_number 1
_space_group_name_Hall 'P 1'
loop_
_atom_site_label
_atom_site_type_symbol
_atom_site_fract_x
_atom_site_fract_y
_atom_site_fract_z
Mg1 Mg 0.0000 0.0000 0.0000
Ti1 Ti 0.3820 0.7552 0.4278
Ti2 Ti 0.6679 0.3374 0.8604
Al1 Al 0.3174 0.6342 0.0880
Al2 Al 0.3661 0.7339 0.7074
Al3 Al 0.6503 0.2989 0.2556
Al4 Al 0.6560 0.3153 0.5519
O1 O 0.1737 0.3483 0.9337
O2 O 0.2163 0.4306 0.2145
O3 O 0.2231 0.4500 0.5577
O4 O 0.4698 0.9406 0.8669
O5 O 0.4979 0.9991 0.6136
O6 O 0.5051 0.0089 0.1211
O7 O 0.5594 0.1200 0.3862
O8 O 0.7863 0.5744 0.7242
O9 O 0.8120 0.6239 0.0402
O10 O 0.8157 0.6279 0.3870
```

## Properties
total moment	2.00	Bohr magnetons per cell

---

two) DFT (PBE) results for an optimized crystal structure of MgTi2Al4O10.

Structure (CIF):
```
data_MgTi2Al4O10
_chemical_formula_sum 'Mg1 Ti2 Al4 O10'
_cell_length_a 3.5518
_cell_length_b 9.8543
_cell_length_c 5.3355
_cell_angle_alpha 90.00
_cell_angle_beta 109.44
_cell_angle_gamma 90.00
_space_group_name_H-M_alt 'P 1 m 1'
_space_group_IT_number 6
_space_group_name_Hall 'P -2y'
loop_
_atom_site_label
_atom_site_type_symbol
_atom_site_fract_x
_atom_site_fract_y
_atom_site_fract_z
Mg1 Mg 0.0000 0.0000 0.0000
Ti1 Ti 0.3196 0.5000 0.6362
Ti2 Ti 0.7199 0.0000 0.4372
Al1 Al 0.3766 0.2052 0.7510
Al2 Al 0.6362 0.3178 0.2694
O1 O 0.2092 0.3030 0.4156
O2 O 0.2921 0.0000 0.5819
O3 O 0.4650 0.3663 0.9278
O4 O 0.5645 0.1319 0.1265
O5 O 0.7158 0.5000 0.4285
O6 O 0.8610 0.1605 0.7199
```

## Properties
total moment	0.04	Bohr magnetons per cell

---

The winner here is one), beating the second structure by 21 meV/atom.

---

one) DFT (PBE) results for an optimized crystal structure of Mg16Al12Pb.

Structure (CIF):
```
data_Mg16Al12Pb
_chemical_formula_sum 'Mg32 Al24 Pb2'
_cell_length_a 10.5928
_cell_length_b 10.5928
_cell_length_c 10.5928
_cell_angle_alpha 90.00
_cell_angle_beta 90.00
_cell_angle_gamma 90.00
_space_group_name_H-M_alt 'I -4 3 m'
_space_group_IT_number 217
_space_group_name_Hall 'I -4 2 3'
loop_
_atom_site_label
_atom_site_type_symbol
_atom_site_fract_x
_atom_site_fract_y
_atom_site_fract_z
Mg1 Mg 0.0424 0.3576 0.3576
Mg2 Mg 0.1752 0.1752 0.8248
Al1 Al 0.0922 0.0922 0.2803
Pb1 Pb 0.0000 0.0000 0.0000
```

## Properties
total moment	0.01	Bohr magnetons per cell

---

two) DFT (PBE) results for an optimized crystal structure of Mg16Al12Pb.

Structure (CIF):
```
data_Mg16Al12Pb
_chemical_formula_sum 'Mg48 Al36 Pb3'
_cell_length_a 14.9797
_cell_length_b 14.9797
_cell_length_c 9.2175
_cell_angle_alpha 90.00
_cell_angle_beta 90.00
_cell_angle_gamma 120.00
_space_group_name_H-M_alt 'R 3 m'
_space_group_IT_number 160
_space_group_name_Hall 'R 3 -2"'
loop_
_atom_site_label
_atom_site_type_symbol
_atom_site_fract_x
_atom_site_fract_y
_atom_site_fract_z
Mg1 Mg 0.0000 0.0000 0.0000
Mg2 Mg 0.0122 0.3058 0.3029
Mg3 Mg 0.0681 0.5340 0.2163
Mg4 Mg 0.2104 0.1052 0.4962
Mg5 Mg 0.2182 0.4364 0.7780
Al1 Al 0.0623 0.1246 0.2972
Al2 Al 0.0887 0.5444 0.7246
Al3 Al 0.1472 0.4786 0.4836
Pb1 Pb 0.0000 0.0000 0.6580
```

## Properties
total moment	0.02	Bohr magnetons per cell

---

The winner here is two), beating the second structure by 10 meV/atom.